one:
Li2Ni3P4O14 | PBE+U | relaxed

Unit cell a=5.2561 b=6.4005 c=15.8933 alpha=81.42 beta=81.99 gamma=72.21
Element x y z (fractional)
Li  0.0747  0.2120  0.4875
Li  0.3554  0.6846  0.6239
Li  0.6446  0.3154  0.3761
Li  0.9253  0.7880  0.5125
Ni  0.0533  0.6383  0.3128
Ni  0.2026  0.2793  0.0927
Ni  0.2274  0.9589  0.8339
Ni  0.7726  0.0411  0.1661
Ni  0.7974  0.7207  0.9073
Ni  0.9467  0.3617  0.6872
P  0.1849  0.1093  0.2913
P  0.2987  0.7818  0.0424
P  0.3526  0.4255  0.8199
P  0.4526  0.7617  0.4272
P  0.5474  0.2383  0.5728
P  0.6474  0.5745  0.1801
P  0.7013  0.2182  0.9576
P  0.8151  0.8907  0.7087
O  0.0094  0.0243  0.7146
O  0.0318  0.3148  0.3375
O  0.1211  0.9859  0.0853
O  0.1625  0.6546  0.8387
O  0.1691  0.5979  0.0518
O  0.2020  0.2860  0.7868
O  0.2418  0.3152  0.5715
O  0.2887  0.8556  0.5084
O  0.3420  0.5877  0.4010
O  0.3586  0.1474  0.2083
O  0.3998  0.5511  0.2355
O  0.4078  0.8462  0.9502
O  0.4088  0.9724  0.3542
O  0.4261  0.2984  0.9121
O  0.5739  0.7016  0.0879
O  0.5912  0.0276  0.6458
O  0.5922  0.1538  0.0498
O  0.6002  0.4489  0.7645
O  0.6414  0.8526  0.7917
O  0.6580  0.4123  0.5990
O  0.7113  0.1444  0.4916
O  0.7582  0.6848  0.4285
O  0.7980  0.7140  0.2132
O  0.8309  0.4021  0.9482
O  0.8375  0.3454  0.1613
O  0.8789  0.0141  0.9147
O  0.9682  0.6852  0.6625
O  0.9906  0.9757  0.2854



two:
Li2Ni3P4O14 | PBE+U | relaxed

Unit cell a=6.9809 b=8.7231 c=9.5264 alpha=74.27 beta=94.60 gamma=67.33
Element x y z (fractional)
Li  0.0051  0.0099  0.6783
Li  0.0050  0.5099  0.1784
Li  0.9950  0.4900  0.8217
Li  0.9950  0.9899  0.3216
Ni  0.9997  0.5002  0.5000
Ni  0.4875  0.3281  0.9983
Ni  0.5124  0.6720  0.0016
Ni  0.0001  0.9999  0.9999
Ni  0.4876  0.8283  0.4983
Ni  0.5127  0.1720  0.5019
P  0.7199  0.8565  0.7964
P  0.7200  0.3565  0.2964
P  0.2801  0.6435  0.7036
P  0.2800  0.1435  0.2036
P  0.2964  0.1512  0.7867
P  0.2964  0.6512  0.2867
P  0.7036  0.3488  0.7133
P  0.7035  0.8488  0.2133
O  0.2675  0.2350  0.6161
O  0.2675  0.7350  0.1161
O  0.7325  0.2649  0.8839
O  0.7325  0.7649  0.3839
O  0.6551  0.9134  0.6242
O  0.6551  0.4134  0.1242
O  0.3450  0.5866  0.8757
O  0.3449  0.0867  0.3757
O  0.2887  0.7798  0.3689
O  0.2886  0.2798  0.8689
O  0.7113  0.7202  0.1311
O  0.7114  0.2201  0.6312
O  0.9156  0.8786  0.8495
O  0.9155  0.3786  0.3496
O  0.0844  0.6214  0.6504
O  0.0844  0.1214  0.1504
O  0.5290  0.9892  0.8498
O  0.5290  0.4892  0.3498
O  0.4710  0.5108  0.6502
O  0.4710  0.0108  0.1502
O  0.2681  0.8286  0.6338
O  0.2680  0.3286  0.1338
O  0.7319  0.6714  0.8662
O  0.7320  0.1714  0.3662
O  0.8523  0.4367  0.6711
O  0.8522  0.9367  0.1710
O  0.1477  0.0633  0.8289
O  0.1477  0.5633  0.3290



three:
Li2Ni3P4O14 | PBE+U | relaxed

Unit cell a=7.2850 b=7.8750 c=9.4423 alpha=90.00 beta=110.13 gamma=90.00
Element x y z (fractional)
Li  0.2075  0.0837  0.1358
Li  0.2075  0.4163  0.6358
Li  0.7925  0.5837  0.3642
Li  0.7925  0.9163  0.8642
Ni  0.3117  0.1256  0.4808
Ni  0.3117  0.3744  0.9808
Ni  0.5000  0.0000  0.0000
Ni  0.5000  0.5000  0.5000
Ni  0.6883  0.6256  0.0192
Ni  0.6883  0.8744  0.5192
P  0.0958  0.0492  0.7168
P  0.0958  0.4508  0.2168
P  0.3835  0.7056  0.1937
P  0.3835  0.7944  0.6937
P  0.6165  0.2056  0.3063
P  0.6165  0.2944  0.8063
P  0.9042  0.5492  0.7832
P  0.9042  0.9508  0.2832
O  0.1152  0.5061  0.7999
O  0.1152  0.9939  0.2999
O  0.1214  0.1683  0.5971
O  0.1214  0.3317  0.0971
O  0.1773  0.6364  0.1915
O  0.1773  0.8636  0.6915
O  0.2211  0.1103  0.8777
O  0.2211  0.3897  0.3777
O  0.3491  0.6223  0.6180
O  0.3491  0.8777  0.1180
O  0.4663  0.5785  0.1073
O  0.4663  0.9215  0.6073
O  0.4881  0.2052  0.1371
O  0.4881  0.2948  0.6371
O  0.5119  0.7052  0.3629
O  0.5119  0.7948  0.8629
O  0.5337  0.0785  0.3927
O  0.5337  0.4215  0.8927
O  0.6509  0.1223  0.8820
O  0.6509  0.3777  0.3820
O  0.7789  0.6103  0.6223
O  0.7789  0.8897  0.1223
O  0.8227  0.1364  0.3085
O  0.8227  0.3636  0.8085
O  0.8786  0.6683  0.9029
O  0.8786  0.8317  0.4029
O  0.8848  0.0061  0.7001
O  0.8848  0.4939  0.2001



Short version: three is the most stable of them.



one:
LiCr2P3O12 | PBE+U | relaxed

Unit cell a=8.6426 b=8.5445 c=12.0451 alpha=90.00 beta=90.00 gamma=90.00
Element x y z (fractional)
Li  0.2241  0.0368  0.0000
Li  0.2759  0.5368  0.5000
Li  0.7241  0.4632  0.0000
Li  0.7759  0.9632  0.5000
Cr  0.0316  0.9970  0.7983
Cr  0.0424  0.5064  0.0633
Cr  0.4576  0.0064  0.5633
Cr  0.4684  0.4970  0.2983
Cr  0.5316  0.5030  0.7983
Cr  0.5424  0.9936  0.0633
Cr  0.9576  0.4936  0.5633
Cr  0.9684  0.0030  0.2983
P  0.1055  0.3554  0.3268
P  0.1052  0.8526  0.5366
P  0.2475  0.2861  0.6832
P  0.2525  0.7861  0.1832
P  0.3948  0.3526  0.0366
P  0.3945  0.8554  0.8268
P  0.6055  0.1446  0.3268
P  0.6052  0.6474  0.5366
P  0.7475  0.2139  0.6832
P  0.7525  0.7139  0.1832
P  0.8948  0.1474  0.0366
P  0.8945  0.6446  0.8268
O  0.0135  0.0724  0.9558
O  0.0149  0.5788  0.9099
O  0.0608  0.9051  0.6538
O  0.0661  0.4051  0.2092
O  0.0930  0.1754  0.3412
O  0.0959  0.6709  0.5237
O  0.1400  0.1911  0.7549
O  0.1448  0.6878  0.1076
O  0.1595  0.4017  0.6040
O  0.1598  0.8964  0.2636
O  0.2266  0.4038  0.0074
O  0.2320  0.9156  0.8596
O  0.2680  0.4156  0.3596
O  0.2734  0.9038  0.5074
O  0.3402  0.3964  0.7636
O  0.3405  0.9017  0.1040
O  0.3552  0.1878  0.6076
O  0.3600  0.6911  0.2549
O  0.4041  0.1709  0.0237
O  0.4070  0.6754  0.8412
O  0.4339  0.9051  0.7092
O  0.4392  0.4051  0.1538
O  0.4851  0.0788  0.4099
O  0.4865  0.5724  0.4558
O  0.5135  0.4276  0.9558
O  0.5149  0.9212  0.9099
O  0.5608  0.5949  0.6538
O  0.5661  0.0949  0.2092
O  0.5930  0.3246  0.3412
O  0.5959  0.8291  0.5237
O  0.6400  0.3089  0.7549
O  0.6448  0.8122  0.1076
O  0.6595  0.0983  0.6040
O  0.6598  0.6036  0.2636
O  0.7266  0.0962  0.0074
O  0.7320  0.5844  0.8596
O  0.7680  0.0844  0.3596
O  0.7734  0.5962  0.5074
O  0.8402  0.1036  0.7636
O  0.8405  0.5983  0.1040
O  0.8552  0.3122  0.6076
O  0.8600  0.8089  0.2549
O  0.9041  0.3291  0.0237
O  0.9070  0.8246  0.8412
O  0.9339  0.5949  0.7092
O  0.9392  0.0949  0.1538
O  0.9851  0.4212  0.4099
O  0.9865  0.9276  0.4558



two:
LiCr2P3O12 | PBE+U | relaxed

Unit cell a=8.4550 b=8.4550 c=8.4550 alpha=60.28 beta=60.28 gamma=60.28
Element x y z (fractional)
Li  0.0000  0.0000  0.0000
Li  0.5000  0.5000  0.5000
Cr  0.1397  0.1397  0.1397
Cr  0.3603  0.3603  0.3603
Cr  0.6397  0.6397  0.6397
Cr  0.8603  0.8603  0.8603
P  0.0383  0.7500  0.4617
P  0.2500  0.5383  0.9617
P  0.4617  0.0383  0.7500
P  0.5383  0.9617  0.2500
P  0.7500  0.4617  0.0383
P  0.9617  0.2500  0.5383
O  0.0022  0.8075  0.6259
O  0.0568  0.9180  0.2663
O  0.0820  0.7337  0.9432
O  0.1259  0.3075  0.5022
O  0.1925  0.3741  0.9978
O  0.2337  0.5820  0.4432
O  0.2663  0.0568  0.9180
O  0.3075  0.5022  0.1259
O  0.3741  0.9978  0.1925
O  0.4180  0.5568  0.7663
O  0.4432  0.2337  0.5820
O  0.4978  0.8741  0.6925
O  0.5022  0.1259  0.3075
O  0.5568  0.7663  0.4180
O  0.5820  0.4432  0.2337
O  0.6259  0.0022  0.8075
O  0.6925  0.4978  0.8741
O  0.7337  0.9432  0.0820
O  0.7663  0.4180  0.5568
O  0.8075  0.6259  0.0022
O  0.8741  0.6925  0.4978
O  0.9180  0.2663  0.0568
O  0.9432  0.0820  0.7337
O  0.9978  0.1925  0.3741



Short version: two is the most stable of them.



one:
Na3Ni2P2C2O14 | PBE+U | relaxed

Unit cell a=6.5194 b=10.1618 c=10.3331 alpha=61.21 beta=89.91 gamma=89.14
Element x y z (fractional)
Na  0.0104  0.2459  0.2497
Na  0.0305  0.2438  0.7504
Na  0.4845  0.2458  0.2527
Na  0.5155  0.7542  0.7473
Na  0.9695  0.7562  0.2496
Na  0.9896  0.7541  0.7503
Ni  0.2547  0.8465  0.9394
Ni  0.2557  0.8425  0.4347
Ni  0.7443  0.1575  0.5653
Ni  0.7453  0.1535  0.0606
P  0.2493  0.0731  0.0741
P  0.2499  0.0775  0.5692
P  0.7501  0.9225  0.4308
P  0.7507  0.9269  0.9259
C  0.2505  0.5745  0.1060
C  0.2510  0.5712  0.6077
C  0.7490  0.4288  0.3923
C  0.7495  0.4255  0.8940
O  0.0608  0.1777  0.5549
O  0.0616  0.1766  0.0573
O  0.2411  0.9244  0.2207
O  0.2433  0.0357  0.9451
O  0.2450  0.4351  0.1917
O  0.2463  0.0383  0.4398
O  0.2488  0.4343  0.6971
O  0.2500  0.6269  0.4658
O  0.2499  0.6743  0.1500
O  0.2510  0.9286  0.7173
O  0.2542  0.6745  0.6499
O  0.2567  0.6348  0.9625
O  0.4355  0.1689  0.0659
O  0.4366  0.1763  0.5489
O  0.5634  0.8237  0.4511
O  0.5645  0.8311  0.9341
O  0.7433  0.3652  0.0375
O  0.7458  0.3255  0.3501
O  0.7490  0.0714  0.2827
O  0.7501  0.3257  0.8500
O  0.7500  0.3731  0.5342
O  0.7512  0.5657  0.3029
O  0.7537  0.9617  0.5602
O  0.7550  0.5649  0.8083
O  0.7567  0.9643  0.0549
O  0.7589  0.0756  0.7793
O  0.9384  0.8234  0.9427
O  0.9392  0.8223  0.4451



two:
Na3Ni2P2C2O14 | PBE+U | relaxed

Unit cell a=6.5505 b=8.9236 c=10.3634 alpha=91.48 beta=90.10 gamma=90.92
Element x y z (fractional)
Na  0.0097  0.2525  0.1302
Na  0.0311  0.2549  0.6265
Na  0.4852  0.2516  0.1267
Na  0.5148  0.7484  0.8733
Na  0.9689  0.7451  0.3735
Na  0.9903  0.7475  0.8698
Ni  0.2542  0.6564  0.1435
Ni  0.2555  0.6531  0.6378
Ni  0.7445  0.3469  0.3622
Ni  0.7458  0.3436  0.8565
P  0.2486  0.4274  0.3887
P  0.2503  0.4229  0.8934
P  0.7497  0.5771  0.1066
P  0.7514  0.5726  0.6113
C  0.2476  0.9273  0.1072
C  0.2539  0.9249  0.6062
C  0.7461  0.0751  0.3938
C  0.7524  0.0727  0.8928
O  0.0624  0.3223  0.8569
O  0.0617  0.3235  0.3538
O  0.2408  0.5770  0.3170
O  0.2434  0.0656  0.0878
O  0.2427  0.4653  0.5357
O  0.2452  0.4616  0.0426
O  0.2487  0.8696  0.2202
O  0.2498  0.0629  0.5884
O  0.2515  0.8258  0.0132
O  0.2520  0.5718  0.8198
O  0.2521  0.8260  0.5120
O  0.2589  0.8667  0.7204
O  0.4342  0.3317  0.3489
O  0.4370  0.3238  0.8655
O  0.5630  0.6762  0.1345
O  0.5658  0.6683  0.6511
O  0.7411  0.1333  0.2796
O  0.7479  0.1740  0.4880
O  0.7480  0.4282  0.1802
O  0.7485  0.1742  0.9868
O  0.7502  0.9371  0.4116
O  0.7513  0.1304  0.7798
O  0.7548  0.5384  0.9574
O  0.7573  0.5347  0.4643
O  0.7566  0.9344  0.9122
O  0.7592  0.4230  0.6830
O  0.9383  0.6765  0.6462
O  0.9376  0.6777  0.1431



Short version: two is the most stable of them.